The following is a GGA-PBE calculation of a relaxed Mg14BiBO16 crystal, from the Materials Project.

Unit cell a=8.7315 b=8.7315 c=4.3732 alpha=90.00 beta=90.00 gamma=90.00
Fractional coordinates of all 32 atoms:
O 0.2348 0.5000 0.0000
O 0.7490 0.7490 0.5000
O 0.7652 0.5000 0.0000
Mg 0.2365 0.7635 0.0000
O 0.0000 0.5000 0.5000
O 0.5000 0.2348 0.0000
O 0.5000 0.5000 0.5000
O 0.0000 0.7346 0.0000
Mg 0.0000 0.2434 0.5000
Mg 0.5000 0.2330 0.5000
O 0.5000 0.7652 0.0000
Mg 0.0000 0.5000 0.0000
Mg 0.7566 0.0000 0.5000
O 0.5000 0.0000 0.5000
Mg 0.2365 0.2365 0.0000
Mg 0.5000 0.7670 0.5000
O 0.2510 0.7490 0.5000
O 0.0000 0.2654 0.0000
O 0.7490 0.2510 0.5000
Mg 0.0000 0.7566 0.5000
O 0.2654 0.0000 0.0000
Mg 0.5000 0.0000 0.0000
Bi 0.5000 0.5000 0.0000
O 0.7346 0.0000 0.0000
B 0.0000 0.0000 0.0000
Mg 0.2434 0.0000 0.5000
O 0.0000 0.0000 0.5000
Mg 0.7635 0.2365 0.0000
O 0.2510 0.2510 0.5000
Mg 0.2330 0.5000 0.5000
Mg 0.7670 0.5000 0.5000
Mg 0.7635 0.7635 0.0000

VASP energy	-5.76	eV per atom
total moment	0.000	μB per atom
energy of formation	-2595	meV per atom



The following is a GGA-PBE calculation of a relaxed Mg6BiBO8 crystal, from the Materials Project.

Unit cell a=8.9495 b=4.4498 c=4.4498 alpha=90.00 beta=90.00 gamma=90.00
Fractional coordinates of all 16 atoms:
O 0.0000 0.0000 0.5000
Mg 0.5000 0.5000 0.5000
O 0.0000 0.5000 0.0000
O 0.5000 0.5000 0.0000
O 0.5000 0.0000 0.5000
O 0.7311 0.5000 0.5000
B 0.0000 0.0000 0.0000
O 0.2689 0.5000 0.5000
Bi 0.0000 0.5000 0.5000
O 0.2715 0.0000 0.0000
Mg 0.2653 0.0000 0.5000
Mg 0.7347 0.5000 0.0000
O 0.7285 0.0000 0.0000
Mg 0.2653 0.5000 0.0000
Mg 0.5000 0.0000 0.0000
Mg 0.7347 0.0000 0.5000

VASP energy	-5.57	eV per atom
total moment	0.001	μB per atom
energy of formation	-2183	meV per atom



The following is a GGA-PBE calculation of a relaxed Mg14BiBO16 crystal, from the Materials Project.

Unit cell a=4.4127 b=8.5809 c=8.7766 alpha=90.00 beta=90.00 gamma=90.00
Fractional coordinates of all 32 atoms:
O 0.0000 0.0000 0.7280
Bi 0.0000 0.5000 0.0000
O 0.0000 0.7490 0.5000
O 0.5000 0.7486 0.2468
O 0.5000 0.0000 0.0000
O 0.0000 0.0000 0.2720
O 0.0000 0.8450 0.0000
O 0.5000 0.5000 0.0000
Mg 0.5000 0.2466 0.5000
O 0.0000 0.1550 0.0000
O 0.5000 0.7486 0.7532
Mg 0.0000 0.7593 0.7412
Mg 0.5000 0.0000 0.7510
Mg 0.5000 0.2328 0.0000
Mg 0.5000 0.7534 0.5000
O 0.5000 0.5000 0.5000
Mg 0.0000 0.0000 0.5000
Mg 0.5000 0.0000 0.2490
Mg 0.5000 0.5000 0.7381
Mg 0.5000 0.7672 0.0000
Mg 0.0000 0.2407 0.7412
O 0.5000 0.2514 0.7532
Mg 0.0000 0.5000 0.5000
B 0.0000 0.0000 0.0000
Mg 0.0000 0.2407 0.2588
O 0.0000 0.2510 0.5000
O 0.5000 0.0000 0.5000
Mg 0.5000 0.5000 0.2619
O 0.0000 0.5000 0.7277
O 0.5000 0.2514 0.2468
Mg 0.0000 0.7593 0.2588
O 0.0000 0.5000 0.2723

VASP energy	-5.85	eV per atom
total moment	0.000	μB per atom
energy of formation	-2693	meV per atom



The following is a GGA-PBE calculation of a relaxed Mg6BiBO8 crystal, from the Materials Project.

Unit cell a=8.9439 b=4.4587 c=4.4587 alpha=90.00 beta=90.00 gamma=90.00
Fractional coordinates of all 16 atoms:
Mg 0.2243 0.5000 0.0000
O 0.0000 0.0000 0.5000
O 0.5000 0.0000 0.5000
B 0.0000 0.0000 0.0000
O 0.2326 0.0000 0.0000
O 0.5000 0.5000 0.0000
O 0.0000 0.5000 0.0000
O 0.7489 0.5000 0.5000
Mg 0.7757 0.5000 0.0000
O 0.2511 0.5000 0.5000
Bi 0.5000 0.0000 0.0000
Mg 0.7757 0.0000 0.5000
Mg 0.2243 0.0000 0.5000
Mg 0.5000 0.5000 0.5000
O 0.7674 0.0000 0.0000
Mg 0.0000 0.5000 0.5000

VASP energy	-5.54	eV per atom
total moment	0.000	μB per atom
energy of formation	-2147	meV per atom



The following is a GGA-PBE calculation of a relaxed Na3BiB2O6 crystal, from the Materials Project.

Unit cell a=7.3323 b=9.0100 c=10.8797 alpha=66.51 beta=90.00 gamma=90.00
Fractional coordinates of all 48 atoms:
O 0.9209 0.8084 0.4160
O 0.4209 0.1916 0.0840
Na 0.9583 0.2807 0.1789
O 0.6992 0.0435 0.7418
B 0.8321 0.4577 0.8185
O 0.9286 0.3680 0.9350
Na 0.7550 0.5913 0.0272
O 0.0791 0.1916 0.5840
Bi 0.0290 0.1852 0.8030
Bi 0.5290 0.8148 0.6970
O 0.1898 0.0270 0.0353
Na 0.4583 0.7193 0.3211
Na 0.2054 0.8356 0.4700
O 0.2328 0.3885 0.2064
B 0.8046 0.9424 0.3762
Na 0.5417 0.2807 0.6789
O 0.3071 0.6148 0.7736
O 0.3102 0.0270 0.5353
B 0.1954 0.0576 0.6238
Na 0.0417 0.7193 0.8211
O 0.8102 0.9730 0.9647
B 0.1679 0.5423 0.1815
O 0.6898 0.9730 0.4647
Na 0.7450 0.5913 0.5272
O 0.0714 0.6320 0.0650
O 0.8008 0.0435 0.2418
Bi 0.9710 0.8148 0.1970
O 0.5791 0.8084 0.9160
O 0.3008 0.9565 0.2582
O 0.1992 0.9565 0.7582
B 0.6954 0.9424 0.8762
B 0.3321 0.5423 0.6815
Na 0.2946 0.8356 0.9700
B 0.3046 0.0576 0.1238
O 0.2672 0.3885 0.7064
O 0.4286 0.6320 0.5650
O 0.1929 0.6148 0.2736
B 0.6679 0.4577 0.3185
O 0.5714 0.3680 0.4350
O 0.7672 0.6115 0.7936
Na 0.7054 0.1644 0.0300
O 0.6929 0.3852 0.2264
Na 0.7946 0.1644 0.5300
O 0.8071 0.3852 0.7264
O 0.7328 0.6115 0.2936
Na 0.2450 0.4087 0.9728
Na 0.2550 0.4087 0.4728
Bi 0.4710 0.1852 0.3030

VASP energy	-6.20	eV per atom
total moment	0.000	μB per atom
energy of formation	-2299	meV per atom



The following is a GGA-PBE calculation of a relaxed Na6Bi2B4PO16 crystal, from the Materials Project.

Unit cell a=10.2530 b=10.2530 c=10.2530 alpha=60.00 beta=60.00 gamma=60.00
Fractional coordinates of all 58 atoms:
O 0.0322 0.2883 0.9172
O 0.2178 0.3328 0.4877
Na 0.9532 0.5468 0.5468
Na 0.7032 0.2968 0.2968
O 0.3328 0.2178 0.9617
O 0.0322 0.9172 0.7623
O 0.4877 0.2178 0.3328
O 0.2883 0.7623 0.9172
O 0.0322 0.7623 0.2883
Na 0.2968 0.7032 0.2968
O 0.5621 0.3138 0.5621
B 0.3453 0.9642 0.3453
O 0.6879 0.9362 0.6879
O 0.3138 0.5621 0.5621
Na 0.2968 0.2968 0.7032
Na 0.5468 0.5468 0.9532
O 0.2178 0.4877 0.9617
O 0.6879 0.6879 0.6879
B 0.9047 0.9047 0.2858
O 0.4877 0.9617 0.2178
Na 0.7032 0.7032 0.2968
O 0.9172 0.0322 0.2883
Na 0.5468 0.9532 0.9532
Bi 0.1250 0.6250 0.1250
Na 0.7032 0.2968 0.7032
O 0.5621 0.5621 0.5621
Na 0.9532 0.5468 0.9532
Na 0.9532 0.9532 0.5468
Bi 0.6250 0.1250 0.1250
Bi 0.1250 0.1250 0.6250
O 0.2883 0.9172 0.0322
B 0.3453 0.3453 0.3453
O 0.5621 0.5621 0.3138
P 0.5000 0.5000 0.5000
B 0.2858 0.9047 0.9047
B 0.3453 0.3453 0.9642
O 0.9617 0.3328 0.2178
O 0.7623 0.0322 0.9172
O 0.9617 0.2178 0.4877
O 0.7623 0.2883 0.0322
B 0.9047 0.2858 0.9047
O 0.7623 0.9172 0.2883
O 0.9362 0.6879 0.6879
Bi 0.1250 0.1250 0.1250
O 0.6879 0.6879 0.9362
O 0.2883 0.0322 0.7623
O 0.2178 0.9617 0.3328
B 0.9642 0.3453 0.3453
O 0.3328 0.9617 0.4877
P 0.7500 0.7500 0.7500
B 0.9047 0.9047 0.9047
Na 0.5468 0.9532 0.5468
O 0.3328 0.4877 0.2178
Na 0.2968 0.7032 0.7032
O 0.9172 0.7623 0.0322
O 0.9172 0.2883 0.7623
O 0.4877 0.3328 0.9617
O 0.9617 0.4877 0.3328

VASP energy	-6.31	eV per atom
total moment	0.032	μB per atom
energy of formation	-2308	meV per atom



The following is a GGA-PBE calculation of a relaxed Na3BiBPO7 crystal, from the Materials Project.

Unit cell a=7.1514 b=5.4104 c=9.3154 alpha=88.93 beta=90.00 gamma=90.00
Fractional coordinates of all 26 atoms:
Na 0.9925 0.7509 0.2417
O 0.2500 0.4178 0.6018
B 0.7500 0.7338 0.9422
O 0.5779 0.1929 0.3199
O 0.7500 0.7167 0.0859
O 0.7500 0.5234 0.8530
Na 0.7500 0.2429 0.0708
O 0.9221 0.1929 0.3199
B 0.2500 0.2662 0.0578
Bi 0.7500 0.7706 0.6521
Na 0.2500 0.7571 0.9292
O 0.7500 0.2118 0.5659
P 0.7500 0.2964 0.4035
O 0.2500 0.4766 0.1470
O 0.2500 0.7882 0.4341
O 0.2500 0.0365 0.1354
Na 0.5075 0.7509 0.2417
O 0.4221 0.8071 0.6801
O 0.2500 0.2833 0.9141
O 0.7500 0.5822 0.3982
Bi 0.2500 0.2294 0.3479
Na 0.0075 0.2491 0.7583
O 0.0779 0.8071 0.6801
P 0.2500 0.7036 0.5965
O 0.7500 0.9635 0.8646
Na 0.4925 0.2491 0.7583

VASP energy	-6.25	eV per atom
total moment	0.000	μB per atom
energy of formation	-2418	meV per atom



The following is a GGA-PBE calculation of a relaxed Na2BiBSO7 crystal, from the Materials Project.

Unit cell a=7.0790 b=5.5282 c=9.6766 alpha=88.83 beta=90.00 gamma=90.00
Fractional coordinates of all 24 atoms:
B 0.7500 0.7376 0.9137
Na 0.4966 0.7602 0.1816
O 0.0813 0.8475 0.6568
O 0.7500 0.9573 0.8305
Bi 0.7500 0.7638 0.6393
O 0.2500 0.2719 0.9507
O 0.4187 0.8475 0.6568
O 0.2500 0.4674 0.1764
O 0.2500 0.0427 0.1695
O 0.2500 0.4608 0.6340
B 0.2500 0.2624 0.0863
Na 0.9966 0.2398 0.8184
O 0.7500 0.2474 0.5577
O 0.5813 0.1525 0.3432
Na 0.0034 0.7602 0.1816
Bi 0.2500 0.2362 0.3607
O 0.7500 0.5326 0.8236
S 0.2500 0.7209 0.5972
O 0.7500 0.5392 0.3660
Na 0.5034 0.2398 0.8184
O 0.9187 0.1525 0.3432
S 0.7500 0.2791 0.4028
O 0.7500 0.7281 0.0493
O 0.2500 0.7526 0.4423

VASP energy	-6.09	eV per atom
total moment	0.000	μB per atom
energy of formation	-2155	meV per atom